No. 1
# SrAg

A geometry-optimized SrAg structure (GGA-PBE, Materials Project).

POSCAR file:
```
SrAg
1.0
-1.9188 0.2110 -4.4420
3.9394 -4.6944 -1.9246
-28.4035 -28.3143 10.9244
Sr Ag
20 20
Cartesian
-16.0922 -21.9198 1.9494
-8.5162 -12.2992 -0.8661
-25.5325 -29.3141 5.6761
-21.7461 -27.6145 4.1212
-10.2907 -10.8779 2.6083
-4.4653 -11.6155 0.0569
-27.3405 -27.8665 9.1663
-23.5741 -26.1294 7.6218
-6.5926 -8.3636 -1.5101
-15.9765 -16.5394 4.7954
-10.4065 -16.2583 -0.2377
-4.6369 -5.1832 0.4365
-2.8088 -6.6683 -3.0641
-0.8505 -3.4835 -1.1183
-14.1695 -17.9857 1.3058
-21.9177 -21.1822 4.5009
-17.8667 -20.4985 5.4239
-12.2134 -14.8120 3.2520
0.9576 -4.9312 -4.6085
-19.7903 -24.4341 6.0679
-17.1934 -18.7955 2.5735
-11.0294 -18.0222 2.5880
-9.6192 -9.1760 -0.2414
-15.3535 -14.7755 1.9697
-19.0967 -22.7583 3.2074
-14.8607 -19.6620 4.1651
-22.9294 -24.3954 4.7853
-26.2294 -30.9898 8.5380
-7.2863 -10.0393 1.3503
-11.5223 -13.1357 0.3926
-22.3919 -29.3503 6.9582
-3.8426 -9.8552 -2.7689
-22.5404 -22.9425 7.3267
-26.7175 -26.1090 6.3402
-0.1535 -1.8079 -3.9802
-3.9910 -3.4474 -2.4004
-16.7638 -23.6217 4.7991
0.3345 -6.6887 -1.7824
-9.1896 -14.0022 1.9843
-3.4535 -8.4022 -0.2275
```

---

No. 2
# Na10Zn7Sn7H24S26O12

A geometry-optimized Na10Zn7Sn7H24S26O12 structure (GGA-PBE, Materials Project).

POSCAR file:
```
Na10Zn7Sn7H24S26O12
1.0
11.0632 -6.3828 0.0000
11.0632 6.3828 0.0000
7.3807 0.0000 10.4240
Na Zn Sn H S O
10 7 7 24 26 12
Cartesian
7.3833 0.0000 2.6083
10.4967 0.0000 3.7082
16.8559 -3.7662 3.6612
14.6890 0.0103 9.7951
16.8618 3.7558 3.6444
20.5982 -2.7139 8.9453
20.6015 2.7194 8.9362
22.1383 0.0000 7.8208
22.1672 -0.0056 4.5041
25.2224 0.0000 8.9104
2.2292 0.0000 0.7875
9.9863 -4.4612 0.7920
7.4105 -0.0035 8.0833
9.9843 4.4646 0.7976
13.5547 -2.0330 6.0551
14.7378 -0.0178 2.7059
13.5649 2.0507 6.0261
12.9096 -3.1958 2.5939
11.0612 -0.0080 7.8262
12.9050 3.2038 2.6070
16.5864 -3.3332 7.8319
16.9190 0.0000 5.9770
18.4771 0.0560 2.4797
16.5541 3.2772 7.9234
5.4572 -1.7603 1.0152
4.5194 0.1349 3.6697
5.4173 -0.1376 4.9332
6.8795 -2.3968 0.7942
5.5350 1.6254 0.7949
8.6931 -2.5303 3.6749
8.5013 -1.6072 4.9398
6.8001 2.5344 1.0189
8.2477 1.7583 4.9357
9.8773 -0.7777 1.0449
9.7075 0.7720 0.8034
8.9500 2.3849 3.6697
19.2943 -0.1152 8.9032
20.3108 -1.6466 6.0258
21.5746 -2.5403 6.2335
20.1878 0.1366 10.1591
20.2443 1.7619 6.2140
22.9930 -1.7664 10.1544
23.6581 -2.4100 8.8892
21.6534 2.4037 6.0104
24.4597 -0.7757 6.0027
23.2132 1.6390 10.1484
23.4406 2.5422 8.8875
24.6036 0.7710 6.2125
0.0024 0.0000 0.0008
9.1217 -1.3346 7.2199
11.3899 -2.5969 0.7993
13.3964 -5.5353 2.9729
11.7933 -2.4205 4.6144
10.9706 1.3308 9.8395
12.8750 -1.5852 8.2134
11.3061 1.5762 5.9933
10.6200 3.9315 2.9788
15.1265 -3.7459 5.9616
12.7026 0.8443 2.0402
15.4879 -3.9341 9.8783
15.0589 -2.2001 2.0314
14.6405 0.0000 5.1721
14.3370 2.3775 8.1964
18.7446 -4.1995 7.2434
14.1443 3.7853 4.6203
17.0882 -0.8873 8.2260
14.1642 4.2045 0.7995
16.4982 1.3684 2.0789
18.3755 -1.3440 4.5820
18.6989 -1.6315 0.7890
17.8636 2.2313 6.0310
17.8260 2.6073 9.8438
16.4291 5.5656 7.2139
20.2488 1.5923 2.9854
5.4604 0.0050 3.9490
6.4106 -1.6520 1.2593
8.3042 -1.6658 3.9684
6.4135 1.6470 1.2511
9.2722 -0.0120 1.2282
8.3111 1.6778 3.9487
21.1877 -1.6601 6.4704
20.2308 0.0015 9.1790
21.1886 1.6585 6.4679
23.0978 -1.6481 9.1764
23.1013 1.6541 9.1665
24.0522 -0.0061 6.4749
```

## Properties
The value obtained for the MP2020-corrected energy is -4.6048 eV/atom.

---

No. 3
# YGa6

A geometry-optimized YGa6 structure (GGA-PBE, Materials Project).

POSCAR file:
```
YGa6
1.0
5.9826 0.0000 0.0000
0.0000 5.9826 0.0000
0.0000 0.0000 7.6168
Y Ga
2 12
Cartesian
0.0000 2.9913 0.0000
2.9913 0.0000 0.0000
0.0000 0.0000 1.2207
0.0000 0.0000 6.3962
2.9913 2.9913 6.3962
2.9913 2.9913 1.2207
4.0862 1.0949 2.6624
4.8877 4.0862 2.6624
1.0949 1.8964 2.6624
4.0862 4.8877 4.9544
1.8964 1.0949 4.9544
1.8964 4.8877 2.6624
1.0949 4.0862 4.9544
4.8877 1.8964 4.9544
```

---

No. 4
# CeSe2

A geometry-optimized CeSe2 structure (GGA-PBE, Materials Project).

POSCAR file:
```
CeSe2
1.0
0.0000 14.3708 0.0000
-0.0088 0.0000 21.1575
24.6042 0.0000 -7.0556
Ce Se
28 56
Cartesian
2.7043 2.6449 17.4115
2.7043 11.7259 17.4115
21.8911 11.7259 -3.3095
21.8911 2.6449 -3.3095
5.3813 11.7308 0.9250
5.3813 2.6400 0.9250
19.2141 2.6400 13.1770
19.2141 11.7308 13.1770
9.9900 4.5225 -0.8536
9.9900 9.8483 -0.8536
14.6054 9.8483 14.9556
14.6054 4.5225 14.9556
9.8972 11.7424 15.4366
9.8972 2.6284 15.4366
14.6982 2.6284 -1.3347
14.6982 11.7424 -1.3347
5.6201 4.5481 13.3675
5.6201 9.8227 13.3675
18.9753 9.8227 0.7345
18.9753 4.5481 0.7345
2.3896 11.6784 9.6386
2.3896 2.6924 9.6386
22.2058 2.6924 4.4634
22.2058 11.6784 4.4634
22.4673 9.8586 9.4949
22.4673 4.5122 9.4949
2.1281 4.5122 4.6071
2.1281 9.8586 4.6071
2.7400 0.0000 16.7898
21.8554 0.0000 -2.6879
5.3366 0.0000 1.5621
19.2588 0.0000 12.5398
10.1659 7.1854 -0.3368
14.4295 7.1854 14.4388
9.9535 0.0000 16.1225
14.6419 0.0000 -2.0206
6.2781 7.1854 13.3370
18.3173 7.1854 0.7650
2.5465 0.0000 9.9642
22.0490 0.0000 4.1378
22.7777 7.1854 9.1167
1.8178 7.1854 4.9853
12.3299 3.3135 -0.1971
12.3299 11.0573 -0.1971
12.2656 11.0573 14.2991
12.2656 3.3135 14.2991
0.1295 3.4827 17.6396
0.1295 10.8880 17.6396
24.4659 10.8880 -3.5377
24.4659 3.4827 -3.5377
4.3924 3.8911 11.0334
4.3924 10.4797 11.0334
20.2031 10.4797 3.0686
20.2031 3.8911 3.0686
3.9364 4.0540 15.4407
3.9364 10.3168 15.4407
20.6591 10.3168 -1.3388
20.6591 4.0540 -1.3388
4.0070 3.0266 19.7659
4.0070 11.3441 19.7659
20.5884 11.3441 -5.6639
20.5884 3.0266 -5.6639
9.5060 4.1376 17.6578
9.5060 10.2332 17.6578
15.0894 10.2332 -3.5559
15.0894 4.1376 -3.5559
4.2157 10.2999 2.9218
4.2157 4.0709 2.9218
20.3797 4.0709 11.1802
20.3797 10.2999 11.1802
-0.0044 10.8089 10.5788
-0.0044 3.5619 10.5788
7.9550 10.9216 0.5947
7.9550 3.4492 0.5947
16.6404 3.4492 13.5073
16.6404 10.9216 13.5073
2.6035 11.0629 6.9972
2.6035 3.3079 6.9972
21.9920 3.3079 7.1048
21.9920 11.0629 7.1048
7.8726 11.3100 13.6791
7.8726 3.0608 13.6791
16.7228 3.0608 0.4229
16.7228 11.3100 0.4229
```

## Properties
Its total moment is 0.0 μB per formula unit. The value obtained for the MP2020-corrected energy is -5.7043 eV/atom.

---

No. 5
# K3NbSe4

A geometry-optimized K3NbSe4 structure (GGA-PBE, Materials Project).

POSCAR file:
```
K3NbSe4
1.0
9.7707 0.0000 0.0000
0.0000 9.9093 0.0000
0.0000 0.0000 11.3419
K Nb Se
12 4 16
Cartesian
3.6360 5.7791 8.5064
1.2494 0.8245 2.8355
6.1348 4.1302 2.8355
8.5213 9.0848 8.5064
9.1923 7.0188 5.1252
4.3070 7.8451 0.5458
5.4638 2.0642 6.2167
0.5784 2.8905 10.7961
0.5784 2.8905 6.2167
5.4638 2.0642 10.7961
4.3070 7.8451 5.1252
9.1923 7.0188 0.5458
2.0824 5.0897 2.8355
6.9678 9.7743 2.8355
2.8029 0.1350 8.5064
7.6883 4.8196 8.5064
3.2759 4.4356 4.8350
6.4948 5.4737 10.5059
8.1613 0.5191 0.8360
1.6095 9.3902 6.5069
0.1295 5.8187 8.5064
5.0148 9.0453 8.5064
4.7559 0.8640 2.8355
9.6413 4.0906 2.8355
7.9222 2.4069 8.5064
3.0369 2.5478 8.5064
6.7339 7.3615 2.8355
1.8485 7.5024 2.8355
6.4948 5.4737 6.5069
1.6095 9.3902 10.5059
8.1613 0.5191 4.8350
3.2759 4.4356 0.8360
```

## Properties
The value obtained for the MP2020-corrected energy is -4.7827 eV/atom.

---

No. 6
# Na3SbI6

A geometry-optimized Na3SbI6 structure (GGA-PBE, Materials Project).

POSCAR file:
```
Na3SbI6
1.0
5.9823 1.5210 6.0422
1.3277 8.0512 2.8329
-2.4029 2.2166 7.9952
Na Sb I
3 1 6
Cartesian
3.6803 8.8416 12.6527
1.2268 2.9472 4.2176
2.4535 5.8944 8.4351
0.0000 0.0000 0.0000
4.2442 3.6750 7.2208
-0.0109 4.0280 8.2119
0.6628 8.1137 9.6494
1.8822 6.9889 5.5922
3.0249 4.7999 11.2780
4.9180 7.7607 8.6584
```

## Properties
Its total moment is 0.0 μB per formula unit. The value obtained for the MP2020-corrected energy is -2.6630 eV/atom.

---

Sequential energy of formation output: -0.32, -1.13, -0.31, -1.40, -1.36, -0.94 eV/atom